(1)
Entry from Materials Project: a relaxed Ba2YNi3O7 crystal (GGA+U).

Cell: 3.894 3.999 11.503 Å, 90.00 90.00 90.00°
Sites, in units of the cell vectors:
Ba 0.000 0.000 0.183
Ba 0.000 0.000 0.817
Y 0.000 0.000 0.500
Ni 0.500 0.500 0.000
Ni 0.500 0.500 0.342
Ni 0.500 0.500 0.658
O 0.000 0.500 0.376
O 0.000 0.500 0.624
O 0.500 0.000 0.000
O 0.500 0.000 0.376
O 0.500 0.000 0.624
O 0.500 0.500 0.163
O 0.500 0.500 0.837

Computed properties:
Crystal system: orthorhombic
Formation energy: -2.183 eV/atom

(2)
Entry from Materials Project: a relaxed Ba2YNi3O7 crystal (GGA+U).

Cell: 5.576 5.576 12.207 Å, 102.82 102.82 91.56°
Sites, in units of the cell vectors:
Ba 0.250 0.750 0.000
Ba 0.435 0.935 0.370
Ba 0.750 0.250 0.000
Ba 0.935 0.435 0.370
Y 0.093 0.593 0.685
Y 0.593 0.093 0.685
Ni 0.013 0.013 0.526
Ni 0.172 0.172 0.843
Ni 0.343 0.343 0.185
Ni 0.513 0.513 0.526
Ni 0.673 0.673 0.845
Ni 0.843 0.843 0.185
O 0.113 0.573 0.185
O 0.261 0.261 0.021
O 0.280 0.781 0.562
O 0.281 0.281 0.563
O 0.404 0.404 0.808
O 0.404 0.905 0.809
O 0.424 0.424 0.349
O 0.573 0.113 0.185
O 0.761 0.761 0.023
O 0.781 0.280 0.562
O 0.782 0.782 0.563
O 0.904 0.904 0.808
O 0.905 0.404 0.809
O 0.924 0.924 0.347

Computed properties:
Crystal system: monoclinic
Formation energy: -2.168 eV/atom

| no. | total energy (eV per atom) |
| --- | --- |
| 1 | -6.018 |
| 2 | -6.002 |